# Li2MoP8O24, relaxed, DFT PBE+U
# energy of formation from the pure elements = -85.079 eV/f.u.
# crystal system = triclinic
# theoretical density = 2.78 g/cm³
# VASP energy = -6.917 eV per atom
data_Li2MoP8O24
_space_group_name_H-M_alt 'P 1'
_space_group_IT_number 1
_space_group_name_Hall 'P 1'
_cell_length_a 7.261
_cell_length_b 7.344
_cell_length_c 9.820
_cell_angle_alpha 109.20
_cell_angle_beta 98.35
_cell_angle_gamma 110.41
loop_
_atom_site_label
_atom_site_fract_x
_atom_site_fract_y
_atom_site_fract_z
Li1 0.000 0.000 0.000
Li2 0.406 0.173 0.225
Mo1 0.896 0.392 0.508
P1 0.211 0.488 0.281
P2 0.214 0.932 0.734
P3 0.243 0.692 0.066
P4 0.261 0.200 0.552
P5 0.634 0.176 0.944
P6 0.663 0.713 0.463
P7 0.675 0.475 0.780
P8 0.706 0.900 0.235
O1 0.036 0.444 0.357
O2 0.074 0.253 0.558
O3 0.102 0.687 0.657
O4 0.141 0.501 0.920
O5 0.143 0.056 0.846
O6 0.176 0.641 0.208
O7 0.214 0.887 0.076
O8 0.225 0.998 0.591
O9 0.230 0.305 0.174
O10 0.316 0.162 0.410
O11 0.415 0.638 0.423
O12 0.440 0.400 0.694
O13 0.449 0.974 0.803
O14 0.488 0.753 0.112
O15 0.584 0.223 0.090
O16 0.655 0.375 0.900
O17 0.692 0.100 0.348
O18 0.698 0.509 0.444
O19 0.719 0.748 0.319
O20 0.761 0.351 0.659
O21 0.764 0.901 0.606
O22 0.787 0.706 0.847
O23 0.827 0.145 0.948
O24 0.875 0.945 0.167

---

# LiMo2P3O12, relaxed, DFT PBE+U
# energy of formation from the pure elements = -43.726 eV/f.u.
# crystal system = monoclinic
# theoretical density = 3.59 g/cm³
# VASP energy = -7.127 eV per atom
data_LiMo2P3O12
_space_group_name_H-M_alt 'C 1 2/m 1'
_space_group_IT_number 12
_space_group_name_Hall '-C 2y'
_cell_length_a 8.194
_cell_length_b 5.375
_cell_length_c 20.318
_cell_angle_alpha 90.00
_cell_angle_beta 92.76
_cell_angle_gamma 90.00
loop_
_atom_site_label
_atom_site_fract_x
_atom_site_fract_y
_atom_site_fract_z
Li1 0.000 0.000 0.162
Mo1 0.000 0.000 0.000
Mo2 0.000 0.000 0.500
Mo3 0.012 0.000 0.668
P1 0.145 0.500 0.417
P2 0.160 0.500 0.079
P3 0.171 0.500 0.746
O1 0.033 0.260 0.416
O2 0.046 0.264 0.070
O3 0.057 0.267 0.737
O4 0.223 0.000 0.318
O5 0.230 0.000 0.191
O6 0.232 0.000 0.984
O7 0.239 0.000 0.859
O8 0.245 0.500 0.482
O9 0.246 0.500 0.356

---

# LiMoP2O8, relaxed, DFT PBE+U
# energy of formation from the pure elements = -29.365 eV/f.u.
# crystal system = monoclinic
# theoretical density = 3.24 g/cm³
# VASP energy = -6.986 eV per atom
data_LiMoP2O8
_space_group_name_H-M_alt 'P 1 21/c 1'
_space_group_IT_number 14
_space_group_name_Hall '-P 2ybc'
_cell_length_a 5.077
_cell_length_b 8.390
_cell_length_c 8.100
_cell_angle_alpha 90.00
_cell_angle_beta 119.68
_cell_angle_gamma 90.00
loop_
_atom_site_label
_atom_site_fract_x
_atom_site_fract_y
_atom_site_fract_z
Li1 0.000 0.000 0.000
Mo1 0.500 0.000 0.500
P1 0.170 0.180 0.736
O1 0.161 0.658 0.934
O2 0.230 0.136 0.267
O3 0.237 0.097 0.914
O4 0.378 0.116 0.653